1.
Compound: Cs2NaBiCl6
Source: Materials Project
Functional: meta-GGA r2SCAN
Structure: relaxed

Computed properties:
Magnetic moment (μB/atom): 0.0000
Formation energy (eV per atom): -1.797
Calculated volume (Å³ per atom): 32.15
Theoretical density (g/cm³): 3.7

abc: 7.689 7.689 7.689
angles: 60.00 60.00 60.00
Fractional coordinates of all 10 atoms:
Cs1 0.250 0.250 0.250
Cs2 0.750 0.750 0.750
Na1 0.000 0.000 0.000
Bi1 0.500 0.500 0.500
Cl1 0.252 0.252 0.748
Cl2 0.252 0.748 0.252
Cl3 0.252 0.748 0.748
Cl4 0.748 0.252 0.252
Cl5 0.748 0.252 0.748
Cl6 0.748 0.748 0.252

***

2.
Compound: Mg2PtRh
Source: Materials Project
Functional: meta-GGA r2SCAN
Structure: relaxed

Computed properties:
Magnetic moment (μB/atom): 0.0000
Formation energy (eV per atom): -0.735
Calculated volume (Å³ per atom): 14.92
Theoretical density (g/cm³): 9.6

abc: 4.386 4.386 4.386
angles: 60.00 60.00 60.00
Fractional coordinates of all 4 atoms:
Mg1 0.250 0.250 0.250
Mg2 0.750 0.750 0.750
Pt1 0.000 0.000 0.000
Rh1 0.500 0.500 0.500

***

3.
Compound: Pr2Sn5
Source: Materials Project
Functional: meta-GGA r2SCAN
Structure: relaxed

Computed properties:
Magnetic moment (μB/atom): 0.0000
Formation energy (eV per atom): -0.583
Calculated volume (Å³ per atom): 27.78
Theoretical density (g/cm³): 7.5

abc: 4.619 4.694 18.091
angles: 90.00 97.40 90.00
Fractional coordinates of all 14 atoms:
Pr1 0.069 0.000 0.137
Pr2 0.203 0.000 0.405
Pr3 0.797 0.000 0.595
Pr4 0.931 0.000 0.863
Sn1 0.000 0.500 0.000
Sn2 0.136 0.500 0.275
Sn3 0.277 0.500 0.555
Sn4 0.363 0.000 0.726
Sn5 0.427 0.500 0.856
Sn6 0.500 0.000 0.000
Sn7 0.573 0.500 0.144
Sn8 0.637 0.000 0.274
Sn9 0.723 0.500 0.445
Sn10 0.864 0.500 0.725

***

4.
Compound: Ho2AlZn
Source: Materials Project
Functional: meta-GGA r2SCAN
Structure: relaxed

Computed properties:
Magnetic moment (μB/atom): 0.0000
Formation energy (eV per atom): -0.425
Calculated volume (Å³ per atom): 22.43
Theoretical density (g/cm³): 7.8

abc: 5.025 5.025 5.025
angles: 60.00 60.00 60.00
Fractional coordinates of all 4 atoms:
Ho1 0.250 0.250 0.250
Ho2 0.750 0.750 0.750
Al1 0.000 0.000 0.000
Zn1 0.500 0.500 0.500

***

5.
Compound: SbTeI
Source: Materials Project
Functional: meta-GGA r2SCAN
Structure: relaxed

Computed properties:
Magnetic moment (μB/atom): 0.0000
Formation energy (eV per atom): -0.262
Calculated volume (Å³ per atom): 37.83
Theoretical density (g/cm³): 5.5

abc: 7.485 7.485 9.620
angles: 128.01 128.01 33.36
Fractional coordinates of all 6 atoms:
Sb1 0.132 0.132 0.259
Sb2 0.868 0.868 0.741
Te1 0.180 0.180 0.595
Te2 0.820 0.820 0.405
I1 0.425 0.425 0.138
I2 0.575 0.575 0.862

***

6.
Compound: SmAl3
Source: Materials Project
Functional: meta-GGA r2SCAN
Structure: relaxed

Computed properties:
Magnetic moment (μB/atom): 0.0000
Formation energy (eV per atom): -0.494
Calculated volume (Å³ per atom): 20.44
Theoretical density (g/cm³): 4.7

abc: 6.411 6.411 4.593
angles: 90.00 90.00 120.00
Fractional coordinates of all 8 atoms:
Sm1 0.333 0.667 0.250
Sm2 0.667 0.333 0.750
Al1 0.142 0.283 0.750
Al2 0.142 0.858 0.750
Al3 0.283 0.142 0.250
Al4 0.717 0.858 0.750
Al5 0.858 0.142 0.250
Al6 0.858 0.717 0.250

***

7.
Compound: PrBe13
Source: Materials Project
Functional: meta-GGA r2SCAN
Structure: relaxed

Computed properties:
Magnetic moment (μB/atom): 0.0000
Formation energy (eV per atom): -0.164
Calculated volume (Å³ per atom): 9.87
Theoretical density (g/cm³): 3.1

abc: 7.312 7.312 7.312
angles: 60.00 60.00 60.00
Fractional coordinates of all 28 atoms:
Pr1 0.250 0.250 0.250
Pr2 0.750 0.750 0.750
Be1 0.000 0.000 0.000
Be2 0.063 0.288 0.712
Be3 0.063 0.712 0.937
Be4 0.063 0.937 0.288
Be5 0.212 0.437 0.788
Be6 0.212 0.563 0.437
Be7 0.212 0.788 0.563
Be8 0.288 0.063 0.937
Be9 0.288 0.712 0.063
Be10 0.288 0.937 0.712
Be11 0.437 0.212 0.563
Be12 0.437 0.563 0.788
Be13 0.437 0.788 0.212
Be14 0.500 0.500 0.500
Be15 0.563 0.212 0.788
Be16 0.563 0.437 0.212
Be17 0.563 0.788 0.437
Be18 0.712 0.063 0.288
Be19 0.712 0.288 0.937
Be20 0.712 0.937 0.063
Be21 0.788 0.212 0.437
Be22 0.788 0.437 0.563
Be23 0.788 0.563 0.212
Be24 0.937 0.063 0.712
Be25 0.937 0.288 0.063
Be26 0.937 0.712 0.288

***

8.
Compound: RbHg11
Source: Materials Project
Functional: meta-GGA r2SCAN
Structure: relaxed

Computed properties:
Magnetic moment (μB/atom): 0.0000
Formation energy (eV per atom): -0.111
Calculated volume (Å³ per atom): 29.64
Theoretical density (g/cm³): 10.7

abc: 10.219 10.219 10.219
angles: 90.00 90.00 90.00
Fractional coordinates of all 36 atoms:
Rb1 0.000 0.000 0.500
Rb2 0.000 0.500 0.000
Rb3 0.500 0.000 0.000
Hg1 0.000 0.345 0.345
Hg2 0.000 0.345 0.655
Hg3 0.000 0.655 0.345
Hg4 0.000 0.655 0.655
Hg5 0.153 0.153 0.153
Hg6 0.153 0.153 0.847
Hg7 0.153 0.847 0.153
Hg8 0.153 0.847 0.847
Hg9 0.268 0.268 0.500
Hg10 0.268 0.500 0.268
Hg11 0.268 0.500 0.732
Hg12 0.268 0.732 0.500
Hg13 0.345 0.000 0.345
Hg14 0.345 0.000 0.655
Hg15 0.345 0.345 0.000
Hg16 0.345 0.655 0.000
Hg17 0.500 0.268 0.268
Hg18 0.500 0.268 0.732
Hg19 0.500 0.500 0.500
Hg20 0.500 0.732 0.268
Hg21 0.500 0.732 0.732
Hg22 0.655 0.000 0.345
Hg23 0.655 0.000 0.655
Hg24 0.655 0.345 0.000
Hg25 0.655 0.655 0.000
Hg26 0.732 0.268 0.500
Hg27 0.732 0.500 0.268
Hg28 0.732 0.500 0.732
Hg29 0.732 0.732 0.500
Hg30 0.847 0.153 0.153
Hg31 0.847 0.153 0.847
Hg32 0.847 0.847 0.153
Hg33 0.847 0.847 0.847

***

9.
Compound: Sr3Sc2Si3O12
Source: Materials Project
Functional: meta-GGA r2SCAN
Structure: relaxed

Computed properties:
Magnetic moment (μB/atom): 0.0000
Formation energy (eV per atom): -3.417
Calculated volume (Å³ per atom): 12.38
Theoretical density (g/cm³): 4.2

abc: 10.875 10.875 10.875
angles: 109.47 109.47 109.47
Fractional coordinates of all 80 atoms:
Sr1 0.125 0.250 0.375
Sr2 0.125 0.375 0.750
Sr3 0.250 0.375 0.125
Sr4 0.250 0.875 0.625
Sr5 0.375 0.125 0.250
Sr6 0.375 0.750 0.125
Sr7 0.625 0.250 0.875
Sr8 0.625 0.875 0.750
Sr9 0.750 0.125 0.375
Sr10 0.750 0.625 0.875
Sr11 0.875 0.625 0.250
Sr12 0.875 0.750 0.625
Sc1 0.000 0.000 0.000
Sc2 0.000 0.000 0.500
Sc3 0.000 0.500 0.000
Sc4 0.000 0.500 0.500
Sc5 0.500 0.000 0.000
Sc6 0.500 0.000 0.500
Sc7 0.500 0.500 0.000
Sc8 0.500 0.500 0.500
Si1 0.125 0.750 0.875
Si2 0.125 0.875 0.250
Si3 0.250 0.125 0.875
Si4 0.250 0.625 0.375
Si5 0.375 0.250 0.625
Si6 0.375 0.625 0.750
Si7 0.625 0.375 0.250
Si8 0.625 0.750 0.375
Si9 0.750 0.375 0.625
Si10 0.750 0.875 0.125
Si11 0.875 0.125 0.750
Si12 0.875 0.250 0.125
O1 0.002 0.203 0.113
O2 0.002 0.299 0.889
O3 0.090 0.703 0.701
O4 0.090 0.887 0.389
O5 0.111 0.613 0.410
O6 0.111 0.998 0.701
O7 0.113 0.002 0.203
O8 0.113 0.611 0.910
O9 0.201 0.203 0.590
O10 0.201 0.498 0.611
O11 0.203 0.113 0.002
O12 0.203 0.590 0.201
O13 0.297 0.299 0.910
O14 0.297 0.498 0.387
O15 0.299 0.889 0.002
O16 0.299 0.910 0.297
O17 0.387 0.297 0.498
O18 0.387 0.590 0.889
O19 0.389 0.090 0.887
O20 0.389 0.799 0.502
O21 0.410 0.111 0.613
O22 0.410 0.799 0.797
O23 0.498 0.387 0.297
O24 0.498 0.611 0.201
O25 0.502 0.389 0.799
O26 0.502 0.613 0.703
O27 0.590 0.201 0.203
O28 0.590 0.889 0.387
O29 0.611 0.201 0.498
O30 0.611 0.910 0.113
O31 0.613 0.410 0.111
O32 0.613 0.703 0.502
O33 0.701 0.090 0.703
O34 0.701 0.111 0.998
O35 0.703 0.502 0.613
O36 0.703 0.701 0.090
O37 0.797 0.410 0.799
O38 0.797 0.887 0.998
O39 0.799 0.502 0.389
O40 0.799 0.797 0.410
O41 0.887 0.389 0.090
O42 0.887 0.998 0.797
O43 0.889 0.002 0.299
O44 0.889 0.387 0.590
O45 0.910 0.113 0.611
O46 0.910 0.297 0.299
O47 0.998 0.701 0.111
O48 0.998 0.797 0.887

***

10.
Compound: LaAlRh
Source: Materials Project
Functional: meta-GGA r2SCAN
Structure: relaxed

Computed properties:
Magnetic moment (μB/atom): 0.0000
Formation energy (eV per atom): -0.878
Calculated volume (Å³ per atom): 20.95
Theoretical density (g/cm³): 7.1

abc: 7.281 4.273 16.159
angles: 90.00 90.00 90.00
Fractional coordinates of all 24 atoms:
La1 0.016 0.250 0.219
La2 0.155 0.250 0.439
La3 0.345 0.750 0.939
La4 0.484 0.750 0.719
La5 0.516 0.250 0.281
La6 0.655 0.250 0.061
La7 0.845 0.750 0.561
La8 0.984 0.750 0.781
Al1 0.007 0.250 0.941
Al2 0.157 0.250 0.647
Al3 0.343 0.750 0.147
Al4 0.493 0.750 0.441
Al5 0.507 0.250 0.559
Al6 0.657 0.250 0.853
Al7 0.843 0.750 0.353
Al8 0.993 0.750 0.059
Rh1 0.212 0.250 0.074
Rh2 0.222 0.750 0.322
Rh3 0.278 0.250 0.822
Rh4 0.288 0.750 0.574
Rh5 0.712 0.250 0.426
Rh6 0.722 0.750 0.178
Rh7 0.778 0.250 0.678
Rh8 0.788 0.750 0.926

***

11.
Compound: N
Source: Materials Project
Functional: meta-GGA r2SCAN
Structure: relaxed

Computed properties:
Magnetic moment (μB/atom): 0.0000
Formation energy (eV per atom): 0.011
Calculated volume (Å³ per atom): 26.34
Theoretical density (g/cm³): 0.9

abc: 4.167 4.167 7.006
angles: 90.00 90.00 120.00
Fractional coordinates of all 4 atoms:
N1 0.333 0.667 0.171
N2 0.333 0.667 0.329
N3 0.667 0.333 0.671
N4 0.667 0.333 0.829

***

12.
Compound: ZrCuSn
Source: Materials Project
Functional: meta-GGA r2SCAN
Structure: relaxed

Computed properties:
Magnetic moment (μB/atom): 0.0000
Formation energy (eV per atom): -0.433
Calculated volume (Å³ per atom): 18.63
Theoretical density (g/cm³): 8.1

abc: 6.694 4.326 7.718
angles: 90.00 90.00 90.00
Fractional coordinates of all 12 atoms:
Zr1 0.000 0.250 0.212
Zr2 0.000 0.750 0.788
Zr3 0.500 0.250 0.288
Zr4 0.500 0.750 0.712
Cu1 0.193 0.250 0.587
Cu2 0.307 0.750 0.087
Cu3 0.693 0.250 0.913
Cu4 0.807 0.750 0.413
Sn1 0.219 0.750 0.413
Sn2 0.281 0.250 0.913
Sn3 0.719 0.750 0.087
Sn4 0.781 0.250 0.587

***

What did the twelfth record say?
Compound: ZrCuSn
Source: Materials Project
Functional: meta-GGA r2SCAN
Structure: relaxed

Computed properties:
Magnetic moment (μB/atom): 0.0000
Formation energy (eV per atom): -0.433
Calculated volume (Å³ per atom): 18.63
Theoretical density (g/cm³): 8.1

abc: 6.694 4.326 7.718
angles: 90.00 90.00 90.00
Fractional coordinates of all 12 atoms:
Zr1 0.000 0.250 0.212
Zr2 0.000 0.750 0.788
Zr3 0.500 0.250 0.288
Zr4 0.500 0.750 0.712
Cu1 0.193 0.250 0.587
Cu2 0.307 0.750 0.087
Cu3 0.693 0.250 0.913
Cu4 0.807 0.750 0.413
Sn1 0.219 0.750 0.413
Sn2 0.281 0.250 0.913
Sn3 0.719 0.750 0.087
Sn4 0.781 0.250 0.587